[1]
First-principles (PBE) data for crystalline Ba3Y2Cl12 at its relaxed geometry, as listed in the Materials Project database.

Unit cell a=10.434 b=15.027 c=15.045 alpha=90.00 beta=108.79 gamma=90.00
Space group C2/c (No. 15)
Symmetry-distinct sites (fractional):
Ba (0.000, 0.130, 0.250) (multiplicity 4)
Ba (0.169, 0.383, 0.072) (multiplicity 8)
Y (0.198, 0.136, 0.593) (multiplicity 8)
Cl (0.059, 0.201, 0.933) (multiplicity 8)
Cl (0.082, 0.481, 0.401) (multiplicity 8)
Cl (0.100, 0.262, 0.428) (multiplicity 8)
Cl (0.113, 0.035, 0.441) (multiplicity 8)
Cl (0.199, 0.022, 0.728) (multiplicity 8)
Cl (0.243, 0.255, 0.254) (multiplicity 8)

Summary:
Spin magnetization, μB/atom: 0.0000
Formation energy, eV per formula unit: -47.639
Excess energy over the best structure of this formula in the dataset, eV/f.u.: 0.05
E, eV per atom: -4.77

---

[2]
First-principles (PBE) data for crystalline Ba2YCl7 at its relaxed geometry, as listed in the Materials Project database.

Unit cell a=16.649 b=8.185 c=10.391 alpha=90.00 beta=128.14 gamma=90.00
Space group C2/c (No. 15)
Symmetry-distinct sites (fractional):
Ba (0.189, 0.008, 0.281) (multiplicity 8)
Y (0.000, 0.466, 0.750) (multiplicity 4)
Cl (0.000, 0.112, 0.750) (multiplicity 4)
Cl (0.088, 0.347, 0.063) (multiplicity 8)
Cl (0.124, 0.267, 0.448) (multiplicity 8)
Cl (0.190, 0.379, 0.849) (multiplicity 8)

Summary:
Spin magnetization, μB/atom: 0.0002
Formation energy, eV per formula unit: -27.961
Excess energy over the best structure of this formula in the dataset, eV/f.u.: 0.73
E, eV per atom: -4.69

---

[3]
First-principles (PBE) data for crystalline Ba2YCl7 at its relaxed geometry, as listed in the Materials Project database.

Unit cell a=7.172 b=13.880 c=12.486 alpha=90.00 beta=95.19 gamma=90.00
Space group P2_1 (No. 4)
Symmetry-distinct sites (fractional):
Ba (0.207, 0.000, 0.273) (multiplicity 2)
Ba (0.231, 0.766, 0.879) (multiplicity 2)
Ba (0.244, 0.410, 0.378) (multiplicity 2)
Ba (0.262, 0.169, 0.761) (multiplicity 2)
Y (0.292, 0.703, 0.459) (multiplicity 2)
Y (0.310, 0.472, 0.955) (multiplicity 2)
Cl (0.018, 0.583, 0.972) (multiplicity 2)
Cl (0.020, 0.831, 0.406) (multiplicity 2)
Cl (0.031, 0.578, 0.491) (multiplicity 2)
Cl (0.067, 0.332, 0.896) (multiplicity 2)
Cl (0.115, 0.962, 0.771) (multiplicity 2)
Cl (0.121, 0.215, 0.274) (multiplicity 2)
Cl (0.269, 0.639, 0.258) (multiplicity 2)
Cl (0.292, 0.541, 0.757) (multiplicity 2)
Cl (0.386, 0.777, 0.647) (multiplicity 2)
Cl (0.395, 0.399, 0.146) (multiplicity 2)
Cl (0.415, 0.861, 0.107) (multiplicity 2)
Cl (0.446, 0.066, 0.518) (multiplicity 2)
Cl (0.462, 0.122, 0.999) (multiplicity 2)
Cl (0.465, 0.330, 0.610) (multiplicity 2)

Summary:
Spin magnetization, μB/atom: 0.0003
Formation energy, eV per formula unit: -28.392
Excess energy over the best structure of this formula in the dataset, eV/f.u.: 0.30
E, eV per atom: -4.73

---

[4]
First-principles (PBE) data for crystalline Ba2Y7Cl25 at its relaxed geometry, as listed in the Materials Project database.

Unit cell a=7.463 b=9.373 c=39.973 alpha=90.00 beta=99.88 gamma=90.00
Space group P2_1/c (No. 14)
Symmetry-distinct sites (fractional):
Ba (0.189, 0.183, 0.215) (multiplicity 4)
Y (0.000, 0.000, 0.500) (multiplicity 2)
Y (0.103, 0.667, 0.607) (multiplicity 4)
Y (0.357, 0.022, 0.340) (multiplicity 4)
Y (0.449, 0.669, 0.446) (multiplicity 4)
Cl (0.043, 0.666, 0.053) (multiplicity 4)
Cl (0.078, 0.132, 0.365) (multiplicity 4)
Cl (0.156, 0.653, 0.796) (multiplicity 4)
Cl (0.162, 0.562, 0.669) (multiplicity 4)
Cl (0.191, 0.011, 0.915) (multiplicity 4)
Cl (0.201, 0.684, 0.972) (multiplicity 4)
Cl (0.296, 0.030, 0.081) (multiplicity 4)
Cl (0.296, 0.152, 0.525) (multiplicity 4)
Cl (0.322, 0.212, 0.290) (multiplicity 4)
Cl (0.359, 0.097, 0.679) (multiplicity 4)
Cl (0.380, 0.669, 0.891) (multiplicity 4)
Cl (0.421, 0.698, 0.122) (multiplicity 4)
Cl (0.500, 0.000, 0.000) (multiplicity 2)

Summary:
Spin magnetization, μB/atom: 0.0007
Formation energy, eV per formula unit: -91.506
E, eV per atom: -5.04

---

[5]
First-principles (PBE) data for crystalline Ba2YCl7 at its relaxed geometry, as listed in the Materials Project database.

Unit cell a=7.688 b=14.304 c=12.109 alpha=90.00 beta=99.64 gamma=90.00
Space group P2_1/c (No. 14)
Symmetry-distinct sites (fractional):
Ba (0.172, 0.066, 0.171) (multiplicity 4)
Ba (0.305, 0.121, 0.709) (multiplicity 4)
Y (0.337, 0.706, 0.015) (multiplicity 4)
Cl (0.026, 0.743, 0.884) (multiplicity 4)
Cl (0.135, 0.065, 0.908) (multiplicity 4)
Cl (0.179, 0.590, 0.140) (multiplicity 4)
Cl (0.327, 0.188, 0.387) (multiplicity 4)
Cl (0.348, 0.626, 0.608) (multiplicity 4)
Cl (0.358, 0.558, 0.886) (multiplicity 4)
Cl (0.499, 0.703, 0.362) (multiplicity 4)

Summary:
Spin magnetization, μB/atom: 0.0000
Formation energy, eV per formula unit: -28.149
Excess energy over the best structure of this formula in the dataset, eV/f.u.: 0.54
E, eV per atom: -4.71

---

[6]
First-principles (PBE) data for crystalline BaCo2Ge2 at its relaxed geometry, as listed in the Materials Project database.

Unit cell a=4.023 b=4.023 c=12.354 alpha=90.00 beta=90.00 gamma=90.00
Space group I4/mmm (No. 139)
Symmetry-distinct sites (fractional):
Ba (0.000, 0.000, 0.000) (multiplicity 2)
Co (0.000, 0.500, 0.250) (multiplicity 4)
Ge (0.000, 0.000, 0.346) (multiplicity 4)

Summary:
Formation energy, eV per formula unit: -1.892
E, eV per atom: -5.45

---

[7]
First-principles (PBE) data for crystalline BaLa2CoS5 at its relaxed geometry, as listed in the Materials Project database.

Unit cell a=7.989 b=7.989 c=13.518 alpha=90.00 beta=90.00 gamma=90.00
Space group I4/mcm (No. 140)
Symmetry-distinct sites (fractional):
Ba (0.000, 0.000, 0.250) (multiplicity 4)
La (0.164, 0.336, 0.000) (multiplicity 8)
Co (0.000, 0.500, 0.250) (multiplicity 4)
S (0.000, 0.000, 0.000) (multiplicity 4)
S (0.146, 0.354, 0.362) (multiplicity 16)

Summary:
Spin magnetization, μB/atom: 0.3335
Formation energy, eV per formula unit: -18.197
E, eV per atom: -6.14

---

[8]
First-principles (PBE) data for crystalline BaMg6Co at its relaxed geometry, as listed in the Materials Project database.

Unit cell a=4.485 b=6.121 c=15.124 alpha=90.00 beta=90.00 gamma=90.00
Space group Amm2 (No. 38)
Symmetry-distinct sites (fractional):
Ba (0.000, 0.000, 0.000) (multiplicity 2)
Mg (0.000, 0.000, 0.406) (multiplicity 2)
Mg (0.000, 0.239, 0.199) (multiplicity 4)
Mg (0.500, 0.000, 0.596) (multiplicity 2)
Mg (0.500, 0.248, 0.819) (multiplicity 4)
Co (0.500, 0.000, 0.172) (multiplicity 2)

Summary:
Spin magnetization, μB/atom: 0.0204
Formation energy, eV per formula unit: 1.590
Excess energy over the best structure of this formula in the dataset, eV/f.u.: 0.00
E, eV per atom: -2.13